The following is a PBE calculation of crystalline TbSnAu at its relaxed geometry, from the Materials Project database.

Cell and atoms, written as extended XYZ:
```
6
Lattice="2.067 3.381 2.569 2.641 -3.201 -2.253 0.235 4.435 -6.025" Properties=species:S:1:pos:R:3 pbc="T T T"
Sn 2.574 1.345 -3.841
Au 2.668 3.114 -6.245
Au 2.359 3.090 -1.625
Tb 0.060 1.136 -1.544
Sn 2.266 1.321 0.779
Tb 0.177 3.354 -4.556
```

Calculated values
Energy of formation in eV/atom: -0.827
Volume in Å³/atom: 24.096

***

The following is a PBE calculation of crystalline Tb2SnAu2 at its relaxed geometry, from the Materials Project database.

Cell and atoms, written as extended XYZ:
```
10
Lattice="7.910 0.000 0.000 0.000 7.910 0.000 0.000 0.000 3.851" Properties=species:S:1:pos:R:3 pbc="T T T"
Sn 3.955 3.955 0.000
Tb 5.319 1.365 1.925
Au 0.999 4.954 0.000
Tb 2.590 6.545 1.925
Tb 1.365 2.590 1.925
Au 2.956 0.999 0.000
Au 4.954 6.911 0.000
Tb 6.545 5.319 1.925
Au 6.911 2.956 0.000
Sn 0.000 0.000 0.000
```

Calculated values
Energy of formation in eV/atom: -0.842
Volume in Å³/atom: 24.093

***

The following is a PBE calculation of crystalline TmSnAu at its relaxed geometry, from the Materials Project database.

Cell and atoms, written as extended XYZ:
```
3
Lattice="-3.342 -3.342 0.000 -3.342 0.000 -3.342 0.000 -3.342 -3.342" Properties=species:S:1:pos:R:3 pbc="T T T"
Sn 0.000 0.000 0.000
Au -5.013 -5.013 -5.013
Tm -3.342 -3.342 -3.342
```

Calculated values
Energy of formation in eV/atom: -0.835
Volume in Å³/atom: 24.887

***

The following is a PBE calculation of crystalline TmSnAu at its relaxed geometry, from the Materials Project database.

Cell and atoms, written as extended XYZ:
```
6
Lattice="2.341 -4.055 0.000 2.341 4.055 0.000 0.000 0.000 7.408" Properties=species:S:1:pos:R:3 pbc="T T T"
Au 2.341 1.352 2.324
Sn 2.341 1.352 5.239
Au 2.341 -1.352 6.028
Sn 2.341 -1.352 1.535
Tm 0.000 0.000 7.252
Tm 0.000 0.000 3.549
```

Calculated values
Energy of formation in eV/atom: -0.781
Volume in Å³/atom: 23.441

***

The following is a PBE calculation of crystalline U3Sn4Au3 at its relaxed geometry, from the Materials Project database.

Cell and atoms, written as extended XYZ:
```
20
Lattice="4.405 -1.954 7.101 3.868 6.490 -4.071 -7.985 2.313 2.133" Properties=species:S:1:pos:R:3 pbc="T T T"
Sn -1.327 5.630 -1.740
Au 5.690 4.503 2.031
Au -2.372 2.335 2.978
Sn -3.260 2.385 0.296
Sn 2.768 2.875 -0.691
Sn 0.691 -0.539 3.954
U -1.919 5.058 1.718
U 2.660 4.514 2.185
U -0.236 2.414 5.132
Sn -3.301 0.617 5.021
Sn 0.090 2.128 1.604
Sn 4.970 1.898 2.859
Au -3.535 6.647 -0.299
Au 0.524 4.435 0.031
Sn 0.234 5.553 4.186
U -5.402 2.347 3.133
Au -1.650 0.836 7.304
U 3.824 0.202 5.462
U 1.939 6.013 -2.141
Au 2.208 1.791 3.445
```

Calculated values
Energy of formation in eV/atom: -0.145
Volume in Å³/atom: 24.330

***

The following is a PBE calculation of crystalline YSnAu at its relaxed geometry, from the Materials Project database.

Cell and atoms, written as extended XYZ:
```
6
Lattice="-2.364 -4.094 0.000 -2.364 4.094 0.000 0.000 0.000 -7.443" Properties=species:S:1:pos:R:3 pbc="T T T"
Au -2.364 -1.365 -1.861
Y 0.000 0.000 -3.721
Au -2.364 1.365 -5.582
Sn -2.364 1.365 -1.861
Y 0.000 0.000 0.000
Sn -2.364 -1.365 -5.582
```

Calculated values
Energy of formation in eV/atom: -0.741
Volume in Å³/atom: 24.004

***

The following is a PBE calculation of crystalline YSnAu at its relaxed geometry, from the Materials Project database.

Cell and atoms, written as extended XYZ:
```
6
Lattice="-2.356 -4.081 0.000 -2.356 4.081 0.000 0.000 0.000 -7.468" Properties=species:S:1:pos:R:3 pbc="T T T"
Y 0.000 0.000 -1.884
Au -2.356 1.360 -3.192
Sn -2.356 -1.360 -3.944
Sn -2.356 1.360 -0.209
Y 0.000 0.000 -5.618
Au -2.356 -1.360 -6.926
```

Calculated values
Energy of formation in eV/atom: -0.831
Volume in Å³/atom: 23.939

***

The following is a PBE calculation of crystalline Sr3Au at its relaxed geometry, from the Materials Project database.

Cell and atoms, written as extended XYZ:
```
4
Lattice="-0.004 -4.277 3.234 1.916 -3.022 -3.994 5.008 1.152 1.530" Properties=species:S:1:pos:R:3 pbc="T T T"
Au 0.000 0.000 0.000
Sr 2.502 -1.562 2.382
Sr 0.956 -3.650 -0.380
Sr 3.462 -0.935 -1.232
```

Calculated values
Energy of formation in eV/atom: -0.142
Volume in Å³/atom: 38.546

***

The following is a PBE calculation of crystalline Sr3Au2 at its relaxed geometry, from the Materials Project database.

Cell and atoms, written as extended XYZ:
```
15
Lattice="6.808 -4.882 0.000 6.808 4.882 0.000 3.308 0.000 7.697" Properties=species:S:1:pos:R:3 pbc="T T T"
Au 9.063 -0.964 6.989
Sr 5.802 -1.149 6.399
Sr 5.044 0.000 2.294
Au 10.338 2.742 4.185
Au 5.895 1.778 5.031
Sr 11.122 1.149 1.298
Au 6.586 -2.742 3.512
Sr 8.462 0.000 3.848
Au 7.861 0.964 0.708
Au 11.029 -1.778 2.666
Sr 9.408 -3.539 5.065
Sr 8.584 2.390 6.877
Sr 8.340 -2.390 0.819
Sr 7.516 3.539 2.631
Sr 11.880 0.000 5.403
```

Calculated values
Energy of formation in eV/atom: -0.669
Volume in Å³/atom: 34.107

***

The following is a PBE calculation of crystalline SrAu at its relaxed geometry, from the Materials Project database.

Cell and atoms, written as extended XYZ:
```
40
Lattice="-3.824 -1.984 2.160 3.752 -2.631 4.225 -1.837 31.310 25.508" Properties=species:S:1:pos:R:3 pbc="T T T"
Au -4.107 25.129 23.875
Au -2.008 5.660 9.708
Au 2.199 1.566 8.018
Au -1.740 13.329 11.850
Au -1.465 8.283 13.079
Au -1.264 -0.873 5.025
Sr -1.009 14.962 14.644
Sr -0.238 8.428 10.007
Au 1.534 8.039 12.787
Sr -1.670 18.267 21.886
Sr -0.232 5.267 12.491
Sr -1.110 20.878 25.276
Au 0.770 14.568 17.432
Sr -1.676 21.428 19.402
Sr 1.535 16.180 20.267
Sr -2.150 15.604 18.590
Au 0.599 23.686 25.504
Sr 0.507 -1.260 7.804
Sr -0.798 5.816 6.617
Sr -0.736 2.610 9.159
Sr -2.416 27.955 24.089
Au -3.643 27.812 27.162
Au -3.442 18.655 19.106
Au -0.168 13.366 20.043
Au -0.644 27.568 26.868
Sr -0.040 -0.726 1.950
Au -2.507 3.009 6.390
Sr 0.242 11.091 13.303
Sr 0.434 1.949 5.247
Au 1.734 -1.118 4.731
Au -2.891 21.273 22.486
Au 0.983 5.422 9.408
Sr -2.343 24.745 26.646
Au -0.444 18.411 18.814
Au -2.678 12.126 14.461
Sr -1.173 24.084 22.734
Sr -1.868 27.420 29.943
Sr -0.899 11.733 17.249
Sr -3.443 10.514 11.626
Au 0.100 21.035 22.186
```

Calculated values
Energy of formation in eV/atom: -0.779
Volume in Å³/atom: 30.279

***

The following is a PBE calculation of crystalline SrAu2 at its relaxed geometry, from the Materials Project database.

Cell and atoms, written as extended XYZ:
```
6
Lattice="-2.420 3.820 4.160 2.420 -3.820 4.160 2.420 3.820 -4.160" Properties=species:S:1:pos:R:3 pbc="T T T"
Au 2.420 -0.309 2.791
Au 0.000 0.309 6.951
Sr 0.000 1.910 3.875
Au 0.000 4.129 1.369
Sr 2.420 1.910 0.285
Au 2.420 3.512 -2.791
```

Calculated values
Energy of formation in eV/atom: -0.738
Volume in Å³/atom: 25.640

***

The following is a PBE calculation of crystalline Sr7Au3 at its relaxed geometry, from the Materials Project database.

Cell and atoms, written as extended XYZ:
```
20
Lattice="5.586 -9.676 0.000 5.586 9.676 0.000 0.000 0.000 7.207" Properties=species:S:1:pos:R:3 pbc="T T T"
Sr 9.075 1.211 1.799
Sr 7.668 4.427 4.079
Sr 5.586 -0.821 0.476
Sr 7.668 -4.427 0.476
Sr 5.586 -3.225 3.928
Sr 3.504 4.427 4.079
Au 8.017 1.822 5.992
Sr 5.586 3.225 0.325
Sr 9.075 -1.211 5.403
Au 5.586 6.032 5.992
Au 5.586 -6.032 2.388
Sr 5.586 7.253 1.799
Sr 3.504 -4.427 0.476
Au 3.156 -1.822 2.388
Sr 2.098 -1.211 5.403
Au 8.017 -1.822 2.388
Au 3.156 1.822 5.992
Sr 2.098 1.211 1.799
Sr 5.586 0.821 4.079
Sr 5.586 -7.253 5.403
```

Calculated values
Energy of formation in eV/atom: -0.535
Volume in Å³/atom: 38.955

***

The following is a PBE calculation of crystalline Ta3Au at its relaxed geometry, from the Materials Project database.

Cell and atoms, written as extended XYZ:
```
8
Lattice="5.246 0.000 0.000 0.000 5.246 0.000 0.000 0.000 5.246" Properties=species:S:1:pos:R:3 pbc="T T T"
Au 2.623 2.623 2.623
Au 0.000 0.000 0.000
Ta 0.000 2.623 3.935
Ta 3.935 0.000 2.623
Ta 0.000 2.623 1.312
Ta 2.623 3.935 0.000
Ta 1.312 0.000 2.623
Ta 2.623 1.312 0.000
```

Calculated values
Energy of formation in eV/atom: -0.023
Volume in Å³/atom: 18.048

***

The following is a PBE calculation of crystalline TbAu at its relaxed geometry, from the Materials Project database.

Cell and atoms, written as extended XYZ:
```
2
Lattice="3.622 0.000 0.000 0.000 3.622 0.000 0.000 0.000 3.622" Properties=species:S:1:pos:R:3 pbc="T T T"
Au 0.000 0.000 0.000
Tb 1.811 1.811 1.811
```

Calculated values
Energy of formation in eV/atom: -0.854
Volume in Å³/atom: 23.760

***

The following is a PBE calculation of crystalline Tb2Au at its relaxed geometry, from the Materials Project database.

Cell and atoms, written as extended XYZ:
```
12
Lattice="4.968 0.000 0.000 0.000 7.197 0.000 0.000 0.000 9.026" Properties=species:S:1:pos:R:3 pbc="T T T"
Tb 1.242 7.083 2.926
Tb 3.726 4.671 3.780
Au 1.242 1.849 8.129
Tb 1.242 3.485 1.586
Tb 1.242 2.526 5.246
Tb 3.726 1.073 0.733
Tb 3.726 0.114 6.099
Tb 1.242 6.124 8.293
Au 3.726 5.348 0.897
Au 3.726 1.750 3.616
Tb 3.726 3.712 7.439
Au 1.242 5.447 5.410
```

Calculated values
Energy of formation in eV/atom: -0.622
Volume in Å³/atom: 26.892

***

The following is a PBE calculation of crystalline Tb14Au51 at its relaxed geometry, from the Materials Project database.

Cell and atoms, written as extended XYZ:
```
65
Lattice="6.416 -11.113 0.000 6.416 11.113 0.000 0.000 0.000 9.266" Properties=species:S:1:pos:R:3 pbc="T T T"
Au 3.911 -4.192 7.855
Au 7.822 1.154 6.132
Au 7.187 -8.172 2.098
Au 9.312 -3.778 3.137
Tb 3.204 3.014 0.000
Au 7.187 -8.172 7.169
Au 4.904 -6.176 3.137
Au 7.922 6.197 6.132
Au 1.618 -0.283 0.000
Au 8.888 4.232 1.397
Au 2.161 -2.138 2.098
Au 7.170 8.494 4.633
Au 2.990 0.875 7.090
Au 10.909 -1.976 4.633
Tb 4.396 -1.301 0.000
Au 5.679 8.087 7.090
Tb 5.244 5.964 4.633
Au 6.416 3.704 0.000
Au 4.724 5.581 7.870
Tb 0.000 0.000 6.494
Au 6.416 3.704 6.326
Tb 7.596 -5.985 4.633
Au 2.161 -2.138 7.169
Au 7.246 -1.291 1.412
Au 5.637 1.300 1.397
Tb 0.000 0.000 2.773
Au 10.580 2.152 2.177
Tb 8.620 1.268 0.000
Au 5.667 -8.459 4.633
Tb 5.045 1.559 4.633
Tb 7.801 -1.542 4.633
Au 5.637 1.300 7.870
Tb 9.508 -3.156 0.000
Au 7.822 1.154 3.134
Au 2.990 0.875 2.177
Au 5.679 8.087 2.177
Au 8.091 -5.630 7.855
Au 9.900 -0.803 7.169
Au 6.416 3.704 2.940
Au 5.032 -1.159 6.130
Au 8.888 4.232 7.870
Au 6.416 -3.704 2.936
Au 3.504 3.762 6.132
Au 9.312 -3.778 6.130
Au 6.416 -3.704 0.000
Au 10.187 0.657 4.633
Au 7.922 6.197 3.134
Tb 5.345 -6.656 0.000
Au 6.416 -3.704 6.331
Au 2.673 -0.678 4.633
Au 5.852 -9.571 0.000
Au 5.032 -1.159 3.137
Tb 8.960 3.590 4.633
Au 4.724 5.581 1.397
Au 7.246 -1.291 7.855
Tb 7.424 6.831 0.000
Au 9.900 -0.803 2.098
Au 3.911 -4.192 1.412
Au 11.779 -1.260 0.000
Au 3.504 3.762 3.134
Au 1.892 1.962 4.633
Au 10.580 2.152 7.090
Au 4.904 -6.176 6.130
Au 8.091 -5.630 1.412
Tb 3.851 -3.586 4.633
```

Calculated values
Energy of formation in eV/atom: -0.635
Volume in Å³/atom: 20.330

***

The following is a PBE calculation of crystalline TbAu3 at its relaxed geometry, from the Materials Project database.

Cell and atoms, written as extended XYZ:
```
8
Lattice="5.087 0.000 0.000 0.000 5.208 0.000 0.000 0.000 6.178" Properties=species:S:1:pos:R:3 pbc="T T T"
Au 0.000 4.382 1.575
Au 2.543 0.826 1.514
Tb 0.000 1.796 0.000
Au 2.543 3.445 0.000
Au 2.543 0.826 4.664
Au 0.000 4.382 4.604
Tb 2.543 3.412 3.089
Au 0.000 1.763 3.089
```

Calculated values
Energy of formation in eV/atom: -0.715
Volume in Å³/atom: 20.459

***

The following is a PBE calculation of crystalline TbAu at its relaxed geometry, from the Materials Project database.

Cell and atoms, written as extended XYZ:
```
4
Lattice="1.869 -5.536 0.000 1.869 5.536 0.000 0.000 0.000 4.700" Properties=species:S:1:pos:R:3 pbc="T T T"
Au 1.869 -0.977 3.525
Tb 1.869 3.996 1.175
Tb 1.869 -3.996 3.525
Au 1.869 0.977 1.175
```

Calculated values
Energy of formation in eV/atom: -0.875
Volume in Å³/atom: 24.311